Entry from the Materials Project database: a relaxed structure of LaSnPd (PBE).

* E_tot: -5.633 eV per atom
* energy relative to the elements: -268 kJ/mol of formula units
* spin magnetization: 0.00 μB per formula unit

a b c (Å): 4.818 7.688 8.063
angles (deg): 90.00 90.00 90.00
Fractional coordinates of all 12 atoms:
Pd1 0.750 0.699 0.415
Sn1 0.750 0.815 0.087
Pd2 0.250 0.801 0.915
La1 0.250 0.514 0.201
La2 0.750 0.486 0.799
La3 0.750 0.986 0.701
La4 0.250 0.014 0.299
Sn2 0.750 0.315 0.413
Sn3 0.250 0.185 0.913
Sn4 0.250 0.685 0.587
Pd3 0.750 0.199 0.085
Pd4 0.250 0.301 0.585



Entry from the Materials Project database: a relaxed structure of Rb2Ca2S3O12 (PBE).

* E_tot: -6.193 eV per atom
* energy relative to the elements: -4645 kJ/mol of formula units
* spin magnetization: 0.00 μB per formula unit

a b c (Å): 10.752 10.752 10.752
angles (deg): 90.00 90.00 90.00
Fractional coordinates of all 76 atoms:
Ca1 0.831 0.169 0.669
Ca2 0.092 0.908 0.408
O1 0.721 0.461 0.190
O2 0.906 0.828 0.495
O3 0.810 0.221 0.039
S1 0.125 0.989 0.724
O4 0.906 0.359 0.742
Ca3 0.669 0.831 0.169
O5 0.995 0.594 0.172
S2 0.489 0.776 0.875
O6 0.505 0.406 0.672
S3 0.276 0.625 0.511
O7 0.263 0.511 0.433
O8 0.690 0.779 0.539
O9 0.067 0.737 0.011
O10 0.828 0.495 0.906
O11 0.594 0.641 0.242
O12 0.094 0.859 0.758
O13 0.258 0.406 0.141
Rb1 0.550 0.450 0.950
O14 0.005 0.094 0.328
S4 0.776 0.875 0.489
O15 0.359 0.742 0.906
Ca4 0.408 0.092 0.908
O16 0.279 0.961 0.310
O17 0.172 0.995 0.594
O18 0.406 0.141 0.258
O19 0.039 0.810 0.221
O20 0.242 0.594 0.641
O21 0.406 0.672 0.505
O22 0.672 0.505 0.406
S5 0.724 0.125 0.989
O23 0.989 0.567 0.763
O24 0.511 0.433 0.263
O25 0.011 0.067 0.737
O26 0.594 0.172 0.995
O27 0.737 0.011 0.067
Rb2 0.050 0.050 0.050
O28 0.495 0.906 0.828
O29 0.190 0.721 0.461
S6 0.989 0.724 0.125
Ca5 0.331 0.331 0.331
O30 0.539 0.690 0.779
Rb3 0.684 0.184 0.316
O31 0.489 0.933 0.237
S7 0.224 0.375 0.011
Ca6 0.169 0.669 0.831
S8 0.875 0.489 0.776
O32 0.742 0.906 0.359
S9 0.011 0.224 0.375
Rb4 0.816 0.816 0.816
O33 0.094 0.328 0.005
O34 0.310 0.279 0.961
O35 0.141 0.258 0.406
Rb5 0.450 0.950 0.550
O36 0.328 0.005 0.094
S10 0.625 0.511 0.276
O37 0.763 0.989 0.567
O38 0.641 0.242 0.594
O39 0.859 0.758 0.094
O40 0.221 0.039 0.810
O41 0.779 0.539 0.690
Rb6 0.316 0.684 0.184
O42 0.567 0.763 0.989
O43 0.933 0.237 0.489
Rb7 0.950 0.550 0.450
O44 0.237 0.489 0.933
O45 0.461 0.190 0.721
Ca7 0.908 0.408 0.092
S11 0.375 0.011 0.224
O46 0.758 0.094 0.859
O47 0.961 0.310 0.279
S12 0.511 0.276 0.625
Rb8 0.184 0.316 0.684
Ca8 0.592 0.592 0.592
O48 0.433 0.263 0.511



Entry from the Materials Project database: a relaxed structure of LuTaOs2 (PBE).

* E_tot: -10.087 eV per atom
* energy relative to the elements: -146 kJ/mol of formula units

a b c (Å): 4.599 4.599 4.599
angles (deg): 60.00 60.00 60.00
Fractional coordinates of all 4 atoms:
Ta1 0.500 0.500 0.500
Os1 0.250 0.250 0.250
Lu1 0.000 0.000 0.000
Os2 0.750 0.750 0.750



Entry from the Materials Project database: a relaxed structure of Sr15Pd5O24 (PBE).

* E_tot: -5.948 eV per atom
* energy relative to the elements: -10439 kJ/mol of formula units
* spin magnetization: 2.00 μB per formula unit

a b c (Å): 9.789 9.789 9.789
angles (deg): 60.22 60.22 60.22
Fractional coordinates of all 44 atoms:
Sr1 0.885 0.622 0.249
O1 0.414 0.549 0.762
O2 0.238 0.451 0.586
Sr2 0.000 0.359 0.641
Pd1 0.125 0.125 0.125
O3 0.549 0.762 0.414
Sr3 0.134 0.500 0.866
Pd2 0.000 0.000 0.000
O4 0.702 0.491 0.833
O5 0.586 0.238 0.451
O6 0.011 0.798 0.666
O7 0.509 0.298 0.167
Pd3 0.625 0.625 0.625
O8 0.202 0.989 0.334
O9 0.762 0.414 0.549
O10 0.491 0.833 0.702
O11 0.666 0.011 0.798
O12 0.045 0.250 0.921
O13 0.798 0.666 0.011
O14 0.167 0.509 0.298
Sr4 0.359 0.641 0.000
Sr5 0.115 0.751 0.378
Sr6 0.378 0.115 0.751
Pd4 0.875 0.875 0.875
O15 0.921 0.045 0.250
Pd5 0.375 0.375 0.375
Sr7 0.249 0.885 0.622
O16 0.989 0.334 0.202
Sr8 0.641 0.000 0.359
Sr9 0.750 0.750 0.750
Sr10 0.250 0.250 0.250
Sr11 0.622 0.249 0.885
O17 0.250 0.921 0.045
O18 0.750 0.955 0.079
O19 0.334 0.202 0.989
Sr12 0.500 0.866 0.134
Sr13 0.500 0.500 0.500
O20 0.833 0.702 0.491
Sr14 0.751 0.378 0.115
O21 0.079 0.750 0.955
O22 0.955 0.079 0.750
O23 0.298 0.167 0.509
Sr15 0.866 0.134 0.500
O24 0.451 0.586 0.238



Entry from the Materials Project database: a relaxed structure of SbAsO3 (PBE).

* E_tot: -6.014 eV per atom
* energy relative to the elements: -820 kJ/mol of formula units

a b c (Å): 13.652 4.659 6.969
angles (deg): 53.92 90.00 90.00
Fractional coordinates of all 20 atoms:
O1 0.711 0.360 0.071
O2 0.289 0.640 0.929
O3 0.789 0.360 0.571
O4 0.141 0.148 0.959
O5 0.099 0.485 0.166
O6 0.401 0.485 0.666
As1 0.599 0.218 0.246
As2 0.099 0.782 0.254
O7 0.901 0.515 0.834
Sb1 0.352 0.665 0.338
As3 0.401 0.782 0.754
Sb2 0.852 0.335 0.162
O8 0.599 0.515 0.334
O9 0.859 0.852 0.041
O10 0.641 0.852 0.541
As4 0.901 0.218 0.746
O11 0.211 0.640 0.429
Sb3 0.148 0.665 0.838
O12 0.359 0.148 0.459
Sb4 0.648 0.335 0.662



Entry from the Materials Project database: a relaxed structure of K2InGaF6 (PBE).

* E_tot: -4.378 eV per atom
* energy relative to the elements: -2611 kJ/mol of formula units

a b c (Å): 6.437 6.437 6.437
angles (deg): 60.00 60.00 60.00
Fractional coordinates of all 10 atoms:
F1 0.268 0.732 0.268
F2 0.732 0.732 0.268
In1 0.500 0.500 0.500
F3 0.268 0.732 0.732
Ga1 0.000 0.000 0.000
F4 0.732 0.268 0.268
F5 0.732 0.268 0.732
K1 0.250 0.250 0.250
F6 0.268 0.268 0.732
K2 0.750 0.750 0.750



Entry from the Materials Project database: a relaxed structure of LiHf (PBE).

* E_tot: -5.611 eV per atom
* energy relative to the elements: 62 kJ/mol of formula units
* spin magnetization: 0.00 μB per formula unit

a b c (Å): 2.960 2.960 5.463
angles (deg): 90.00 90.00 120.00
Fractional coordinates of all 2 atoms:
Li1 0.000 0.000 0.000
Hf1 0.333 0.667 0.500



Entry from the Materials Project database: a relaxed structure of Na4P4H6O15 (PBE).

* E_tot: -6.039 eV per atom
* energy relative to the elements: -6167 kJ/mol of formula units
* spin magnetization: 0.00 μB per formula unit

a b c (Å): 6.694 10.082 11.316
angles (deg): 103.98 101.08 90.99
Fractional coordinates of all 58 atoms:
O1 0.476 0.615 0.834
P1 0.968 0.245 0.261
H1 0.979 0.343 0.507
O2 0.733 0.332 0.786
H2 0.961 0.860 0.041
O3 0.390 0.185 0.729
P2 0.597 0.226 0.810
O4 0.406 0.107 0.375
P3 0.319 0.643 0.912
O5 0.275 0.909 0.183
P4 0.219 0.019 0.302
Na1 0.749 0.027 0.413
P5 0.032 0.755 0.739
O6 0.138 0.213 0.961
P6 0.403 0.774 0.190
O7 0.524 0.385 0.166
H3 0.659 0.611 0.404
O8 0.561 0.268 0.952
O9 0.862 0.787 0.039
O10 0.931 0.899 0.784
O11 0.817 0.472 0.077
O12 0.178 0.763 0.873
Na2 0.816 0.561 0.893
H4 0.038 0.540 0.374
H5 0.424 0.615 0.358
O13 0.043 0.383 0.595
O14 0.093 0.948 0.369
O15 0.158 0.765 0.644
H6 0.341 0.389 0.596
O16 0.126 0.363 0.292
Na3 0.919 0.716 0.236
O17 0.475 0.410 0.578
H7 0.039 0.140 0.959
Na4 0.494 0.340 0.364
O18 0.725 0.091 0.817
Na5 0.506 0.660 0.636
H8 0.727 0.818 0.016
O19 0.594 0.893 0.625
Na6 0.251 0.973 0.587
O20 0.267 0.668 0.214
O21 0.439 0.732 0.048
O22 0.842 0.235 0.356
O23 0.610 0.815 0.271
H9 0.273 0.182 0.984
O24 0.874 0.637 0.708
O25 0.907 0.052 0.631
O26 0.525 0.590 0.422
H10 0.962 0.460 0.626
P7 0.781 0.981 0.698
O27 0.822 0.237 0.127
O28 0.069 0.101 0.216
Na7 0.081 0.284 0.764
Na8 0.184 0.439 0.107
P8 0.681 0.357 0.088
H11 0.021 0.657 0.493
H12 0.576 0.385 0.642
O29 0.957 0.617 0.405
O30 0.183 0.528 0.923



Entry from the Materials Project database: a relaxed structure of LiHo3Ge2O8F2 (PBE).

* E_tot: -7.175 eV per atom
* energy relative to the elements: -5104 kJ/mol of formula units
* spin magnetization: 0.00 μB per formula unit

a b c (Å): 9.221 9.221 11.689
angles (deg): 51.30 51.30 32.18
Fractional coordinates of all 32 atoms:
O1 0.448 0.289 0.476
O2 0.042 0.893 0.428
Li1 0.500 0.000 0.500
O3 0.914 0.776 0.366
Ho1 0.210 0.790 0.750
Ho2 0.328 0.916 0.349
O4 0.132 0.324 0.329
O5 0.086 0.224 0.634
O6 0.711 0.552 0.024
O7 0.289 0.448 0.976
Ge1 0.380 0.909 0.011
Li2 0.000 0.500 0.000
Ho3 0.790 0.210 0.250
O8 0.107 0.958 0.072
F1 0.517 0.340 0.171
F2 0.660 0.483 0.329
O9 0.676 0.868 0.171
O10 0.776 0.914 0.866
Ge2 0.909 0.380 0.511
O11 0.552 0.711 0.524
F3 0.483 0.660 0.829
Ge3 0.091 0.620 0.489
O12 0.224 0.086 0.134
Ge4 0.620 0.091 0.989
O13 0.893 0.042 0.928
F4 0.340 0.517 0.671
O14 0.868 0.676 0.671
O15 0.324 0.132 0.829
O16 0.958 0.107 0.572
Ho4 0.672 0.084 0.651
Ho5 0.916 0.328 0.849
Ho6 0.084 0.672 0.151



Entry from the Materials Project database: a relaxed structure of Ho2InAg (PBE).

* E_tot: -4.076 eV per atom
* energy relative to the elements: -150 kJ/mol of formula units

a b c (Å): 3.689 3.689 7.411
angles (deg): 90.00 90.00 90.00
Fractional coordinates of all 4 atoms:
Ag1 0.500 0.500 0.000
Ho1 0.000 0.000 0.763
In1 0.500 0.500 0.500
Ho2 0.000 0.000 0.237



Entry from the Materials Project database: a relaxed structure of MgCuH4O2F2 (PBE).

* E_tot: -4.517 eV per atom
* energy relative to the elements: -1397 kJ/mol of formula units
* spin magnetization: 0.00 μB per formula unit

a b c (Å): 5.949 5.949 3.221
angles (deg): 80.72 99.28 79.99
Fractional coordinates of all 10 atoms:
Mg1 0.866 0.866 0.500
H1 0.463 0.266 0.179
H2 0.512 0.722 0.894
O1 0.303 0.303 0.000
H3 0.266 0.463 0.821
F1 0.716 0.199 0.399
H4 0.722 0.512 0.106
Cu1 0.094 0.094 0.000
O2 0.684 0.684 0.000
F2 0.199 0.716 0.601



Entry from the Materials Project database: a relaxed structure of SiC2N6F6 (PBE).

* E_tot: -5.547 eV per atom
* energy relative to the elements: -56 kJ/mol of formula units
* spin magnetization: 8.00 μB per formula unit

a b c (Å): 6.003 6.790 6.619
angles (deg): 120.86 110.61 90.00
Fractional coordinates of all 15 atoms:
N1 0.232 0.389 0.434
F1 0.321 0.838 0.675
C1 0.765 0.724 0.448
N2 0.235 0.394 0.788
F2 0.683 0.158 0.958
F3 0.679 0.162 0.325
F4 0.317 0.842 0.042
Si1 0.500 0.000 0.000
F5 0.683 0.799 0.958
N3 0.232 0.045 0.434
N4 0.765 0.606 0.212
F6 0.317 0.201 0.042
N5 0.768 0.611 0.566
N6 0.768 0.955 0.566
C2 0.235 0.276 0.552